[1]
RbYb3: relaxed, r2SCAN.

```
4
Lattice="0.000 4.115 4.115 4.115 0.000 4.115 4.115 4.115 0.000" Properties=species:S:1:pos:R:3 pbc="T T T"
Rb 0.000 0.000 0.000
Yb 2.057 2.057 2.057
Yb 4.115 4.115 4.115
Yb 6.172 6.172 6.172
```

Values from the calculation:
**Raw total energy**: -120.596 eV/cell
**Magnetization**: 0.0 μB per cell
**Energy relative to the elements**: 71 kJ/mol of atoms

[2]
ZrUN2: relaxed, r2SCAN.

```
8
Lattice="-2.357 2.357 4.703 2.357 -2.357 4.703 2.357 2.357 -4.703" Properties=species:S:1:pos:R:3 pbc="T T T"
Zr 2.357 1.179 1.176
Zr 0.000 1.179 3.528
U 2.357 -1.179 3.528
U 0.000 3.536 1.176
N 2.357 1.179 -1.151
N 0.000 1.179 1.201
N 2.357 1.179 3.503
N 0.000 1.179 5.854
```

Values from the calculation:
**Raw total energy**: -255.855 eV/cell
**Magnetization**: 0.0 μB per cell
**Energy relative to the elements**: -168 kJ/mol of atoms

[3]
La2ZrSe5: relaxed, r2SCAN.

```
32
Lattice="12.076 0.000 0.000 0.000 8.570 0.000 0.000 0.000 7.774" Properties=species:S:1:pos:R:3 pbc="T T T"
La 2.085 8.570 0.430
La 2.085 4.285 0.430
La 3.953 0.000 4.317
La 3.953 4.285 4.317
La 8.123 8.570 3.456
La 8.123 4.285 3.456
La 9.991 0.000 7.343
La 9.991 4.285 7.343
Zr 0.115 2.143 4.470
Zr 5.923 6.428 0.583
Zr 6.153 2.143 7.190
Zr 11.960 6.428 3.304
Se 0.057 2.143 7.335
Se 0.912 4.593 5.255
Se 0.912 8.263 5.255
Se 2.302 2.143 2.776
Se 2.520 6.428 2.633
Se 3.518 2.143 6.520
Se 3.735 6.428 6.662
Se 5.126 0.308 1.369
Se 5.126 3.977 1.369
Se 5.981 6.428 3.448
Se 6.095 2.143 4.326
Se 6.950 4.593 6.405
Se 6.950 8.263 6.405
Se 8.340 2.143 1.111
Se 8.558 6.428 1.254
Se 9.556 2.143 5.141
Se 9.773 6.428 4.998
Se 11.163 0.308 2.518
Se 11.163 3.977 2.518
Se 12.019 6.428 0.439
```

Values from the calculation:
**Raw total energy**: -681.960 eV/cell
**Magnetization**: 0.0 μB per cell
**Energy relative to the elements**: -201 kJ/mol of atoms

[4]
Zr3Zn3C: relaxed, r2SCAN.

```
28
Lattice="0.000 6.093 6.093 6.093 0.000 6.093 6.093 6.093 0.000" Properties=species:S:1:pos:R:3 pbc="T T T"
Zr 4.570 4.570 0.804
Zr 4.570 0.804 4.570
Zr 8.335 4.570 4.570
Zr 7.616 7.616 3.851
Zr 7.616 3.851 7.616
Zr 11.381 7.616 7.616
Zr 0.804 4.570 4.570
Zr 4.570 8.335 4.570
Zr 4.570 4.570 8.335
Zr 3.851 7.616 7.616
Zr 7.616 11.381 7.616
Zr 7.616 7.616 11.381
Zn 6.093 3.046 3.046
Zn 3.598 3.598 3.598
Zn 5.542 5.542 3.598
Zn 5.542 3.598 5.542
Zn 8.588 6.644 6.644
Zn 3.046 6.093 3.046
Zn 3.046 3.046 6.093
Zn 6.093 6.093 6.093
Zn 3.598 5.542 5.542
Zn 6.644 8.588 6.644
Zn 6.644 6.644 8.588
Zn 8.588 8.588 8.588
C 0.000 0.000 0.000
C 3.046 3.046 0.000
C 3.046 0.000 3.046
C 0.000 3.046 3.046
```

Values from the calculation:
**Raw total energy**: -435.530 eV/cell
**Magnetization**: 0.0 μB per cell
**Energy relative to the elements**: -55 kJ/mol of atoms

[5]
KHoS2: relaxed, r2SCAN.

```
4
Lattice="2.009 1.160 7.305 -2.009 1.160 7.305 0.000 -2.320 7.305" Properties=species:S:1:pos:R:3 pbc="T T T"
K 0.000 0.000 0.000
Ho 0.000 0.000 10.957
S 0.000 0.000 5.125
S 0.000 0.000 16.789
```

Values from the calculation:
**Raw total energy**: -63.647 eV/cell
**Magnetization**: 0.0 μB per cell
**Energy relative to the elements**: -209 kJ/mol of atoms

[6]
Na3AlF6: relaxed, r2SCAN.

```
10
Lattice="2.761 1.594 4.419 -2.761 1.594 4.419 0.000 -3.188 4.419" Properties=species:S:1:pos:R:3 pbc="T T T"
Na 0.000 0.000 0.000
Na 0.000 0.000 3.558
Na 0.000 0.000 9.698
Al 0.000 0.000 6.628
F -0.545 -1.369 5.577
F -1.458 -0.213 7.679
F -0.913 1.156 5.577
F 0.913 -1.156 7.679
F 1.458 0.213 5.577
F 0.545 1.369 7.679
```

Values from the calculation:
**Raw total energy**: -70.085 eV/cell
**Magnetization**: 0.0 μB per cell
**Energy relative to the elements**: -327 kJ/mol of atoms

- What is the formula in the first record?
  RbYb3

- What is the formula in the third record?
  La2ZrSe5